Li2FeCl4 GGA-PBE optimized geometry; space-group type = Imma (74); distance to the lowest polymorph of the same formula = 0.000 eV per atom; raw total energy = -4.143 eV per atom; DFT formation energy = -1.68 eV/atom; V = 20.2 Å³/atom; total energy after the MP2020 corrections = -4.4942 eV/atom
1.0
-3.6921 3.7151 5.1584
3.6921 -3.7151 5.1584
3.6921 3.7151 -5.1584
Li Fe Cl
4 2 8
direct
0.0000 0.0000 0.5000 Li
0.0000 0.5000 0.0000 Li
0.3804 0.1304 0.2500 Li
0.6196 0.8696 0.7500 Li
0.0000 0.5000 0.5000 Fe
0.5000 0.5000 0.0000 Fe
0.2240 0.7353 0.4886 Cl
0.2472 0.2668 0.5197 Cl
0.2472 0.7275 0.9803 Cl
0.2533 0.2647 0.9886 Cl
0.7467 0.7353 0.0114 Cl
0.7528 0.2725 0.0197 Cl
0.7528 0.7332 0.4803 Cl
0.7760 0.2647 0.5114 Cl

Li2FeCl4 GGA-PBE optimized geometry; space-group type = P1 (1); distance to the lowest polymorph of the same formula = 0.031 eV per atom; raw total energy = -4.113 eV per atom; DFT formation energy = -1.65 eV/atom; V = 20.1 Å³/atom; total energy after the MP2020 corrections = -4.4636 eV/atom
1.0
7.2762 0.0000 0.0000
-3.5959 6.4792 0.0000
-0.0248 -3.7943 29.8661
Li Fe Cl
20 10 40
direct
0.0000 0.0000 0.0000 Li
0.9998 0.0470 0.1491 Li
0.0381 0.0893 0.5859 Li
0.0716 0.1854 0.3735 Li
0.0782 0.2022 0.8698 Li
0.1759 0.4022 0.7442 Li
0.1983 0.9031 0.6702 Li
0.3688 0.2869 0.2723 Li
0.3785 0.8025 0.3428 Li
0.4293 0.8696 0.7745 Li
0.4757 0.9929 0.5773 Li
0.4866 0.0076 0.0816 Li
0.5687 0.1908 0.9451 Li
0.5816 0.6916 0.8704 Li
0.6433 0.2825 0.3820 Li
0.6687 0.3880 0.6692 Li
0.7685 0.5989 0.5440 Li
0.7858 0.5964 0.9735 Li
0.7887 0.0922 0.4718 Li
0.9920 0.5072 0.0796 Li
0.0624 0.6943 0.8656 Fe
0.2688 0.0952 0.4714 Fe
0.2799 0.5925 0.4739 Fe
0.2860 0.5988 0.9741 Fe
0.4838 0.5105 0.0771 Fe
0.6642 0.8907 0.6703 Fe
0.7140 0.4176 0.1845 Fe
0.8736 0.3184 0.2682 Fe
0.8851 0.7672 0.2692 Fe
0.8903 0.7832 0.7798 Fe
0.0005 0.0463 0.7225 Cl
0.0131 0.0841 0.2284 Cl
0.0412 0.6232 0.7285 Cl
0.0498 0.6040 0.2234 Cl
0.1353 0.7944 0.5199 Cl
0.1369 0.2926 0.5206 Cl
0.1373 0.7889 0.0205 Cl
0.1544 0.3413 0.0262 Cl
0.1958 0.4521 0.3177 Cl
0.2073 0.9847 0.3196 Cl
0.2254 0.9909 0.8248 Cl
0.2259 0.5070 0.8254 Cl
0.3450 0.1897 0.6249 Cl
0.3461 0.6979 0.1178 Cl
0.3528 0.7127 0.6276 Cl
0.3546 0.2220 0.1232 Cl
0.3961 0.8453 0.9188 Cl
0.4230 0.3905 0.4254 Cl
0.4269 0.4061 0.9254 Cl
0.4276 0.9001 0.4244 Cl
0.5455 0.0948 0.7197 Cl
0.5477 0.6164 0.7264 Cl
0.5525 0.1256 0.2245 Cl
0.5614 0.5965 0.2253 Cl
0.5966 0.2462 0.5183 Cl
0.6042 0.7838 0.5191 Cl
0.6317 0.3214 0.0249 Cl
0.6327 0.7931 0.0208 Cl
0.7320 0.0098 0.3220 Cl
0.7361 0.4950 0.3196 Cl
0.7362 0.5056 0.8250 Cl
0.7451 0.9769 0.8237 Cl
0.8179 0.6743 0.1242 Cl
0.8200 0.1845 0.6261 Cl
0.8230 0.2202 0.1258 Cl
0.8359 0.7181 0.6245 Cl
0.9313 0.8811 0.9207 Cl
0.9360 0.4053 0.9242 Cl
0.9583 0.4016 0.4264 Cl
0.9607 0.9267 0.4267 Cl

FeNCl3 GGA-PBE optimized geometry; space-group type = P6_3/mmc (194); distance to the lowest polymorph of the same formula = 0.009 eV per atom; raw total energy = -3.939 eV per atom; DFT formation energy = 0.16 eV/atom; V = 22.6 Å³/atom; total energy after the MP2020 corrections = -4.3076 eV/atom
1.0
6.8439 0.0000 0.0000
-3.4219 5.9270 0.0000
0.0000 0.0000 5.5640
Fe N Cl
2 2 6
direct
0.0000 0.0000 0.0000 Fe
0.0000 0.0000 0.5000 Fe
0.3333 0.6667 0.2500 N
0.6667 0.3333 0.7500 N
0.1487 0.2974 0.7500 Cl
0.1487 0.8513 0.7500 Cl
0.2974 0.1487 0.2500 Cl
0.7026 0.8513 0.7500 Cl
0.8513 0.1487 0.2500 Cl
0.8513 0.7026 0.2500 Cl

FeNCl3 GGA-PBE optimized geometry; space-group type = P6_3mc (186); distance to the lowest polymorph of the same formula = 0.000 eV per atom; raw total energy = -3.949 eV per atom; DFT formation energy = 0.15 eV/atom; V = 34.6 Å³/atom; total energy after the MP2020 corrections = -4.3169 eV/atom
1.0
8.4407 0.0000 0.0000
-4.2204 7.3099 0.0000
0.0000 0.0000 5.6094
Fe N Cl
2 2 6
direct
0.0000 0.0000 0.0000 Fe
0.0000 0.0000 0.5000 Fe
0.3333 0.6667 0.3032 N
0.6667 0.3333 0.8032 N
0.1213 0.2426 0.7514 Cl
0.1213 0.8787 0.7514 Cl
0.2426 0.1213 0.2514 Cl
0.7574 0.8787 0.7514 Cl
0.8787 0.1213 0.2514 Cl
0.8787 0.7574 0.2514 Cl

FeN3Cl5 GGA-PBE optimized geometry; space-group type = Pnma (62); distance to the lowest polymorph of the same formula = 0.112 eV per atom; raw total energy = -3.779 eV per atom; DFT formation energy = 0.63 eV/atom; V = 31.4 Å³/atom; total energy after the MP2020 corrections = -4.1203 eV/atom
1.0
8.7537 0.0000 0.0000
0.0000 8.7282 0.0000
0.0000 0.0000 14.7855
Fe N Cl
4 12 20
direct
0.1893 0.2500 0.1116 Fe
0.3107 0.7500 0.6116 Fe
0.6893 0.2500 0.3884 Fe
0.8107 0.7500 0.8884 Fe
0.0408 0.7500 0.3615 N
0.2001 0.1181 0.8063 N
0.2001 0.3819 0.8063 N
0.2999 0.6181 0.3063 N
0.2999 0.8819 0.3063 N
0.4592 0.2500 0.8615 N
0.5408 0.7500 0.1385 N
0.7001 0.1181 0.6937 N
0.7001 0.3819 0.6937 N
0.7999 0.6181 0.1937 N
0.7999 0.8819 0.1937 N
0.9592 0.2500 0.6385 N
0.0031 0.2500 0.0197 Cl
0.1877 0.2500 0.2555 Cl
0.1969 0.7500 0.3281 Cl
0.2109 0.5340 0.5828 Cl
0.2109 0.9660 0.5828 Cl
0.2891 0.0340 0.0828 Cl
0.2891 0.4660 0.0828 Cl
0.3031 0.2500 0.8281 Cl
0.3123 0.7500 0.7555 Cl
0.4969 0.7500 0.5197 Cl
0.5031 0.2500 0.4803 Cl
0.6877 0.2500 0.2445 Cl
0.6969 0.7500 0.1719 Cl
0.7109 0.5340 0.9172 Cl
0.7109 0.9660 0.9172 Cl
0.7891 0.0340 0.4172 Cl
0.7891 0.4660 0.4172 Cl
0.8031 0.2500 0.6719 Cl
0.8123 0.7500 0.7445 Cl
0.9969 0.7500 0.9803 Cl

FeN3Cl5 GGA-PBE optimized geometry; space-group type = Pnma (62); distance to the lowest polymorph of the same formula = 0.000 eV per atom; raw total energy = -3.891 eV per atom; DFT formation energy = 0.51 eV/atom; V = 25.3 Å³/atom; total energy after the MP2020 corrections = -4.2323 eV/atom
1.0
15.6668 0.0000 0.0000
0.0000 8.1941 0.0000
0.0000 0.0000 7.1076
Fe N Cl
4 12 20
direct
0.0726 0.2500 0.1331 Fe
0.4274 0.7500 0.6331 Fe
0.5726 0.2500 0.3669 Fe
0.9274 0.7500 0.8669 Fe
0.0077 0.7500 0.9864 N
0.1643 0.5790 0.7151 N
0.1643 0.9210 0.7151 N
0.3357 0.0790 0.2151 N
0.3357 0.4210 0.2151 N
0.4923 0.2500 0.4864 N
0.5077 0.7500 0.5136 N
0.6643 0.5790 0.7849 N
0.6643 0.9210 0.7849 N
0.8357 0.0790 0.2849 N
0.8357 0.4210 0.2849 N
0.9923 0.2500 0.0136 N
0.0205 0.2500 0.4180 Cl
0.1047 0.5086 0.1903 Cl
0.1047 0.9914 0.1903 Cl
0.1736 0.2500 0.9247 Cl
0.1826 0.7500 0.7819 Cl
0.3174 0.2500 0.2819 Cl
0.3264 0.7500 0.4247 Cl
0.3953 0.0086 0.6903 Cl
0.3953 0.4914 0.6903 Cl
0.4795 0.7500 0.9180 Cl
0.5205 0.2500 0.0820 Cl
0.6047 0.5086 0.3097 Cl
0.6047 0.9914 0.3097 Cl
0.6736 0.2500 0.5753 Cl
0.6826 0.7500 0.7181 Cl
0.8174 0.2500 0.2181 Cl
0.8264 0.7500 0.0753 Cl
0.8953 0.0086 0.8097 Cl
0.8953 0.4914 0.8097 Cl
0.9795 0.7500 0.5820 Cl

FeS4N4Cl4 GGA-PBE optimized geometry; space-group type = P2_1/c (14); raw total energy = -4.994 eV per atom; DFT formation energy = -0.12 eV/atom; V = 25.8 Å³/atom; total energy after the MP2020 corrections = -5.1828 eV/atom
1.0
8.3873 0.0000 0.0000
0.0000 10.6566 0.0000
-4.3025 0.0000 15.0141
Fe S N Cl
4 16 16 16
direct
0.2330 0.1416 0.2436 Fe
0.2330 0.3584 0.7436 Fe
0.7670 0.6416 0.2564 Fe
0.7670 0.8584 0.7564 Fe
0.1456 0.7372 0.6089 S
0.1456 0.7628 0.1089 S
0.2545 0.5585 0.0053 S
0.2545 0.9415 0.5053 S
0.2566 0.5443 0.4995 S
0.2566 0.9557 0.9995 S
0.3650 0.7464 0.3941 S
0.3650 0.7536 0.8941 S
0.6350 0.2464 0.1059 S
0.6350 0.2536 0.6059 S
0.7434 0.0443 0.0005 S
0.7434 0.4557 0.5005 S
0.7455 0.0585 0.4947 S
0.7455 0.4415 0.9947 S
0.8544 0.2372 0.8911 S
0.8544 0.2628 0.3911 S
0.1349 0.6233 0.5413 N
0.1349 0.8767 0.0413 N
0.2020 0.6326 0.0799 N
0.2020 0.8674 0.5799 N
0.2743 0.6342 0.9205 N
0.2743 0.8658 0.4205 N
0.3481 0.6172 0.4393 N
0.3481 0.8828 0.9393 N
0.6519 0.1172 0.0607 N
0.6519 0.3828 0.5607 N
0.7257 0.1342 0.5795 N
0.7257 0.3658 0.0795 N
0.7980 0.1326 0.4201 N
0.7980 0.3674 0.9201 N
0.8651 0.1233 0.9587 N
0.8651 0.3767 0.4587 N
0.0024 0.5456 0.2619 Cl
0.0024 0.9544 0.7619 Cl
0.1988 0.2307 0.6282 Cl
0.1988 0.2693 0.1282 Cl
0.3157 0.2408 0.3733 Cl
0.3157 0.2592 0.8733 Cl
0.4217 0.0001 0.2345 Cl
0.4217 0.4999 0.7345 Cl
0.5783 0.9999 0.7655 Cl
0.5783 0.5001 0.2655 Cl
0.6843 0.7408 0.1267 Cl
0.6843 0.7592 0.6267 Cl
0.8012 0.7307 0.8718 Cl
0.8012 0.7693 0.3718 Cl
0.9976 0.0456 0.2381 Cl
0.9976 0.4544 0.7381 Cl

FeS3N2Cl4 GGA-PBE optimized geometry; space-group type = P2_1/c (14); raw total energy = -4.659 eV per atom; DFT formation energy = -0.41 eV/atom; V = 26.4 Å³/atom; total energy after the MP2020 corrections = -4.9050 eV/atom
1.0
12.6615 0.0000 0.0000
0.0000 11.8353 0.0000
-3.0061 0.0000 14.0956
Fe S N Cl
8 24 16 32
direct
0.0333 0.1473 0.2354 Fe
0.0333 0.3527 0.7354 Fe
0.4460 0.1971 0.2324 Fe
0.4460 0.3029 0.7324 Fe
0.5540 0.6971 0.2676 Fe
0.5540 0.8029 0.7676 Fe
0.9667 0.6473 0.2646 Fe
0.9667 0.8527 0.7646 Fe
0.1299 0.6433 0.9831 S
0.1299 0.8567 0.4831 S
0.2033 0.6440 0.5805 S
0.2033 0.8560 0.0805 S
0.2288 0.0188 0.9486 S
0.2288 0.4812 0.4486 S
0.2619 0.0306 0.5705 S
0.2619 0.4694 0.0705 S
0.2848 0.6266 0.9332 S
0.2848 0.8734 0.4332 S
0.3601 0.6576 0.5319 S
0.3601 0.8424 0.0319 S
0.6399 0.1576 0.9681 S
0.6399 0.3424 0.4681 S
0.7152 0.1266 0.5668 S
0.7152 0.3734 0.0668 S
0.7381 0.5306 0.9295 S
0.7381 0.9694 0.4295 S
0.7712 0.5188 0.5514 S
0.7712 0.9812 0.0514 S
0.7967 0.1440 0.9195 S
0.7967 0.3560 0.4195 S
0.8701 0.1433 0.5169 S
0.8701 0.3567 0.0169 S
0.1533 0.5399 0.0563 N
0.1533 0.9601 0.5563 N
0.1605 0.5363 0.5174 N
0.1605 0.9637 0.0174 N
0.3281 0.5201 0.9985 N
0.3281 0.9799 0.4985 N
0.3381 0.5502 0.4635 N
0.3381 0.9498 0.9635 N
0.6619 0.0502 0.0365 N
0.6619 0.4498 0.5365 N
0.6719 0.0201 0.5015 N
0.6719 0.4799 0.0015 N
0.8395 0.0363 0.9826 N
0.8395 0.4637 0.4826 N
0.8467 0.0399 0.4437 N
0.8467 0.4601 0.9437 N
0.0338 0.5373 0.7228 Cl
0.0338 0.9627 0.2228 Cl
0.0936 0.1945 0.3846 Cl
0.0936 0.3055 0.8846 Cl
0.1210 0.2260 0.1368 Cl
0.1210 0.2740 0.6368 Cl
0.1424 0.6973 0.3116 Cl
0.1424 0.8027 0.8116 Cl
0.3727 0.0328 0.2497 Cl
0.3727 0.4672 0.7497 Cl
0.3764 0.6860 0.2004 Cl
0.3764 0.8140 0.7004 Cl
0.3772 0.1660 0.8031 Cl
0.3772 0.3340 0.3031 Cl
0.4317 0.2377 0.0803 Cl
0.4317 0.2623 0.5803 Cl
0.5683 0.7377 0.4197 Cl
0.5683 0.7623 0.9197 Cl
0.6228 0.6660 0.6969 Cl
0.6228 0.8340 0.1969 Cl
0.6236 0.1860 0.2996 Cl
0.6236 0.3140 0.7996 Cl
0.6273 0.5328 0.2503 Cl
0.6273 0.9672 0.7503 Cl
0.8576 0.1973 0.1884 Cl
0.8576 0.3027 0.6884 Cl
0.8790 0.7260 0.3632 Cl
0.8790 0.7740 0.8632 Cl
0.9064 0.6945 0.1154 Cl
0.9064 0.8055 0.6154 Cl
0.9662 0.0373 0.7772 Cl
0.9662 0.4627 0.2772 Cl

Repeat the second record exactly.
Li2FeCl4 GGA-PBE optimized geometry; space-group type = P1 (1); distance to the lowest polymorph of the same formula = 0.031 eV per atom; raw total energy = -4.113 eV per atom; DFT formation energy = -1.65 eV/atom; V = 20.1 Å³/atom; total energy after the MP2020 corrections = -4.4636 eV/atom
1.0
7.2762 0.0000 0.0000
-3.5959 6.4792 0.0000
-0.0248 -3.7943 29.8661
Li Fe Cl
20 10 40
direct
0.0000 0.0000 0.0000 Li
0.9998 0.0470 0.1491 Li
0.0381 0.0893 0.5859 Li
0.0716 0.1854 0.3735 Li
0.0782 0.2022 0.8698 Li
0.1759 0.4022 0.7442 Li
0.1983 0.9031 0.6702 Li
0.3688 0.2869 0.2723 Li
0.3785 0.8025 0.3428 Li
0.4293 0.8696 0.7745 Li
0.4757 0.9929 0.5773 Li
0.4866 0.0076 0.0816 Li
0.5687 0.1908 0.9451 Li
0.5816 0.6916 0.8704 Li
0.6433 0.2825 0.3820 Li
0.6687 0.3880 0.6692 Li
0.7685 0.5989 0.5440 Li
0.7858 0.5964 0.9735 Li
0.7887 0.0922 0.4718 Li
0.9920 0.5072 0.0796 Li
0.0624 0.6943 0.8656 Fe
0.2688 0.0952 0.4714 Fe
0.2799 0.5925 0.4739 Fe
0.2860 0.5988 0.9741 Fe
0.4838 0.5105 0.0771 Fe
0.6642 0.8907 0.6703 Fe
0.7140 0.4176 0.1845 Fe
0.8736 0.3184 0.2682 Fe
0.8851 0.7672 0.2692 Fe
0.8903 0.7832 0.7798 Fe
0.0005 0.0463 0.7225 Cl
0.0131 0.0841 0.2284 Cl
0.0412 0.6232 0.7285 Cl
0.0498 0.6040 0.2234 Cl
0.1353 0.7944 0.5199 Cl
0.1369 0.2926 0.5206 Cl
0.1373 0.7889 0.0205 Cl
0.1544 0.3413 0.0262 Cl
0.1958 0.4521 0.3177 Cl
0.2073 0.9847 0.3196 Cl
0.2254 0.9909 0.8248 Cl
0.2259 0.5070 0.8254 Cl
0.3450 0.1897 0.6249 Cl
0.3461 0.6979 0.1178 Cl
0.3528 0.7127 0.6276 Cl
0.3546 0.2220 0.1232 Cl
0.3961 0.8453 0.9188 Cl
0.4230 0.3905 0.4254 Cl
0.4269 0.4061 0.9254 Cl
0.4276 0.9001 0.4244 Cl
0.5455 0.0948 0.7197 Cl
0.5477 0.6164 0.7264 Cl
0.5525 0.1256 0.2245 Cl
0.5614 0.5965 0.2253 Cl
0.5966 0.2462 0.5183 Cl
0.6042 0.7838 0.5191 Cl
0.6317 0.3214 0.0249 Cl
0.6327 0.7931 0.0208 Cl
0.7320 0.0098 0.3220 Cl
0.7361 0.4950 0.3196 Cl
0.7362 0.5056 0.8250 Cl
0.7451 0.9769 0.8237 Cl
0.8179 0.6743 0.1242 Cl
0.8200 0.1845 0.6261 Cl
0.8230 0.2202 0.1258 Cl
0.8359 0.7181 0.6245 Cl
0.9313 0.8811 0.9207 Cl
0.9360 0.4053 0.9242 Cl
0.9583 0.4016 0.4264 Cl
0.9607 0.9267 0.4267 Cl